1.
VASP calculation (GGA-PBE) on a relaxed structure of Na4GeSe4.

Cell and atoms, written as extended XYZ:
```
72
Lattice="7.229 0.000 0.000 0.000 9.549 0.000 0.000 0.000 28.917" Properties=species:S:1:pos:R:3 pbc="T T T"
Na 3.839 7.162 24.873
Na 0.225 2.387 18.502
Na 3.390 2.387 4.044
Na 7.004 7.162 10.415
Na 3.967 2.387 25.904
Na 0.352 7.162 17.471
Na 3.262 7.162 3.013
Na 6.877 2.387 11.446
Na 2.938 4.230 21.871
Na 6.552 5.319 21.505
Na 4.292 9.005 7.046
Na 0.677 0.545 7.412
Na 4.292 5.319 7.046
Na 0.677 4.230 7.412
Na 2.938 0.545 21.871
Na 6.552 9.005 21.505
Na 1.764 4.335 15.137
Na 5.379 5.215 28.239
Na 5.465 9.110 13.780
Na 1.851 0.440 0.678
Na 5.465 5.215 13.780
Na 1.851 4.335 0.678
Na 1.764 0.440 15.137
Na 5.379 9.110 28.239
Na 4.124 4.763 18.336
Na 0.510 4.787 25.039
Na 3.105 9.538 10.581
Na 6.720 0.012 3.878
Na 3.105 4.787 10.581
Na 6.720 4.763 3.878
Na 4.124 0.012 18.336
Na 0.510 9.538 25.039
Ge 5.936 2.387 22.856
Ge 2.321 7.162 20.520
Ge 1.293 7.162 6.061
Ge 4.908 2.387 8.397
Ge 5.120 2.387 15.744
Ge 1.505 7.162 27.631
Ge 2.109 7.162 13.173
Ge 5.724 2.387 1.286
Se 5.193 2.387 20.567
Se 1.579 7.162 22.809
Se 2.036 7.162 8.350
Se 5.650 2.387 6.108
Se 4.693 7.162 20.124
Se 1.078 2.387 23.251
Se 2.537 2.387 8.793
Se 6.151 7.162 5.666
Se 1.430 5.218 19.467
Se 5.044 4.331 23.909
Se 5.799 0.444 9.450
Se 2.185 9.106 5.008
Se 5.799 4.331 9.450
Se 2.185 5.218 5.008
Se 1.430 9.106 19.467
Se 5.044 0.444 23.909
Se 2.602 7.162 15.502
Se 6.216 2.387 27.874
Se 4.627 2.387 13.415
Se 1.013 7.162 1.043
Se 3.027 2.387 16.896
Se 6.642 7.162 26.480
Se 4.202 7.162 12.021
Se 0.587 2.387 2.437
Se 2.731 5.227 26.907
Se 6.345 4.323 16.469
Se 4.498 0.452 2.010
Se 0.884 9.098 12.449
Se 4.498 4.323 2.010
Se 0.884 5.227 12.449
Se 2.731 9.098 26.907
Se 6.345 0.452 16.469
```

Calculated values
Space group: Pnma


2.
VASP calculation (GGA-PBE) on a relaxed structure of Na4Ga2SiP2O12.

Cell and atoms, written as extended XYZ:
```
126
Lattice="-2.500 3.947 -7.509 -4.915 -6.507 3.425 -11.421 14.694 11.525" Properties=species:S:1:pos:R:3 pbc="T T T"
Na -4.464 6.181 -1.882
Na -5.556 2.719 1.396
Na -5.948 -0.423 5.036
Na -13.271 9.374 6.054
Na -12.856 12.602 2.404
Na -14.406 5.975 9.285
Na -9.033 7.597 5.592
Na -10.196 4.127 8.843
Na -13.095 4.929 5.062
Na -6.418 -3.886 2.016
Na -6.056 -0.693 -1.676
Na -2.702 -0.802 1.879
Na -16.198 12.964 5.597
Na -12.359 15.982 5.420
Na -12.767 12.848 9.081
Na -8.643 7.947 -1.440
Na -5.757 7.250 2.441
Na -9.792 4.557 1.812
Na -10.624 0.859 9.164
Na -16.328 8.208 14.930
Na -12.799 12.730 5.735
Na -7.130 5.369 -0.049
Na -5.987 -0.572 1.724
Na -11.753 6.756 7.456
Ga -11.404 2.590 -0.050
Ga -9.716 12.491 9.788
Ga -12.336 3.051 10.905
Ga -6.624 -4.295 5.143
Ga -11.059 10.562 3.995
Ga -5.436 3.185 -1.816
Ga -14.533 14.907 7.477
Ga -8.832 7.557 1.710
Ga -4.292 -2.824 0.040
Ga -10.044 4.509 5.780
Ga -7.659 1.640 3.479
Ga -13.508 8.939 9.165
Si -6.779 5.736 -3.636
Si -10.342 13.824 3.309
Si -7.794 9.770 4.052
Si -6.421 0.926 -4.100
Si -16.031 8.524 11.355
Si -8.129 1.934 6.800
P -3.592 4.819 0.683
P -8.106 1.858 0.001
P -10.739 10.268 7.459
P -14.535 10.359 3.563
P -10.696 10.184 0.664
P -11.395 7.146 3.859
P -2.820 3.584 -3.905
P -3.537 0.541 -0.720
P -15.305 11.604 8.173
P -12.423 11.187 11.519
P -11.013 2.355 3.388
P -7.454 4.996 3.590
O -4.223 5.111 2.070
O -9.438 2.649 0.039
O -6.761 7.275 -3.072
O -10.611 11.562 8.301
O -15.495 10.538 4.768
O -11.533 14.946 3.207
O -14.589 7.020 5.267
O -9.397 9.489 7.394
O -12.064 4.962 10.524
O -8.222 0.577 -0.867
O -3.270 1.610 2.594
O -7.367 -2.735 4.203
O -11.352 10.452 2.049
O -9.202 10.599 4.106
O -11.396 8.614 4.380
O -6.294 2.285 -3.200
O -3.757 3.755 -2.675
O -4.652 1.624 -0.813
O -2.896 0.254 -2.103
O -5.004 0.106 -4.143
O -2.835 2.129 -4.434
O -7.938 8.412 3.149
O -10.445 6.966 2.647
O -9.574 9.121 0.761
O -15.924 11.894 9.569
O -13.759 11.982 11.571
O -16.001 10.054 11.925
O -10.897 3.651 4.240
O -8.425 5.164 4.792
O -9.325 3.040 6.694
O -7.456 1.650 5.338
O -9.661 1.587 3.324
O -7.468 3.540 3.039
O -12.549 9.908 10.641
O -15.035 8.352 10.071
O -14.167 10.546 8.258
O -8.870 0.613 7.452
O -11.512 2.881 2.020
O -6.074 5.446 4.138
O -11.416 12.233 10.981
O -15.595 7.609 12.656
O -16.508 11.162 7.298
O -9.992 11.414 0.040
O -7.294 9.236 5.532
O -12.767 6.676 3.311
O -7.510 -0.157 -3.495
O -3.220 4.434 -5.137
O -2.327 0.961 0.154
O -11.107 12.531 3.990
O -11.240 10.767 6.076
O -13.149 10.786 4.114
O -7.074 2.887 -0.538
O -6.369 4.849 -2.308
O -4.789 4.354 -0.189
O -14.602 12.818 7.519
O -14.448 14.612 5.391
O -12.590 14.571 7.355
O -7.108 7.828 0.527
O -7.823 5.840 2.346
O -9.363 6.367 0.224
O -4.238 -0.701 -0.106
O -4.428 -2.435 1.956
O -6.353 -2.447 0.043
O -11.662 4.386 6.880
O -10.983 6.288 5.086
O -9.393 5.822 7.277
O -7.829 -0.453 3.455
O -7.652 1.337 1.390
O -5.732 1.293 3.272
O -11.746 9.243 8.043
O -12.404 7.286 9.843
O -13.961 7.771 7.647
```

Calculated values
Space group: Cc


3.
VASP calculation (GGA-PBE) on a relaxed structure of CdAg.

Cell and atoms, written as extended XYZ:
```
2
Lattice="-1.985 1.776 1.277 -0.543 -2.803 0.758 2.870 0.472 3.806" Properties=species:S:1:pos:R:3 pbc="T T T"
Cd 0.171 -0.277 2.920
Ag 0.000 0.000 0.000
```

Calculated values
Space group: Cmmm


4.
VASP calculation (GGA-PBE) on a relaxed structure of Na4InSi2SnPO12.

Cell and atoms, written as extended XYZ:
```
126
Lattice="-0.960 -6.062 -6.835 -2.235 -2.375 8.588 -21.036 7.214 -3.612" Properties=species:S:1:pos:R:3 pbc="T T T"
Na -5.908 -2.086 -5.241
Na -6.340 -1.349 -0.257
Na -7.601 -5.677 -2.300
Na -17.693 0.051 -1.604
Na -17.557 -1.465 -6.426
Na -16.159 3.108 -5.182
Na -13.345 1.548 -1.303
Na -13.777 2.284 3.681
Na -15.038 -2.044 1.637
Na -4.094 -3.530 5.945
Na -3.958 -5.045 1.123
Na -2.560 -0.473 2.367
Na -21.742 -0.881 -4.202
Na -19.939 2.231 -7.806
Na -20.241 3.965 -3.014
Na -10.256 -3.583 -5.541
Na -9.160 0.964 -3.528
Na -10.956 -2.901 -0.531
Na -13.644 -4.797 -0.081
Na -21.009 7.138 -3.616
Na -18.846 1.212 -4.731
Na -8.370 -2.505 -2.903
Na -5.247 -2.368 2.818
Na -15.807 1.129 1.034
In -10.542 -5.869 0.494
In -17.896 6.095 -3.048
In -15.744 0.140 -4.157
In -5.257 -3.548 -2.334
In -2.145 -3.441 3.392
In -12.694 0.086 1.603
Si -7.523 -4.112 0.344
Si -5.946 1.093 1.631
Si -16.747 2.911 -2.172
Si -18.703 -1.214 1.053
Si -12.725 1.896 -4.307
Si -14.343 -1.335 -1.267
Si -4.108 -6.732 -1.458
Si -2.869 -2.419 0.014
Si -20.162 5.530 -0.370
Si -21.780 2.298 2.670
Si -11.545 -3.098 2.479
Si -10.306 1.215 3.951
Sn -14.614 -1.373 -9.171
Sn -4.099 -4.987 -7.363
Sn -22.051 2.261 -5.233
Sn -11.536 -1.354 -3.426
Sn -8.452 -1.320 2.316
Sn -18.973 2.280 0.511
P -7.775 -2.344 5.649
P -17.364 3.717 3.333
P -13.937 -2.397 -5.837
P -2.490 -3.551 -4.541
P -21.374 1.237 -1.900
P -9.927 0.083 -0.604
O -6.726 0.809 -2.338
O -9.028 -4.575 -0.019
O -7.874 -4.098 -6.161
O -17.642 4.061 -2.869
O -19.639 -1.911 -2.829
O -17.886 0.847 -8.245
O -17.443 -2.053 0.364
O -15.197 3.428 -1.845
O -16.476 2.852 4.289
O -6.634 -5.342 1.034
O -4.547 0.623 0.865
O -6.422 -1.983 6.350
O -15.123 -1.619 -5.236
O -14.230 1.434 -4.669
O -15.311 -0.464 -2.224
O -5.002 -5.581 -2.156
O -3.806 -3.116 -3.868
O -4.287 -2.734 -0.696
O -1.610 -3.258 -0.675
O -2.558 -6.214 -1.131
O -1.602 -4.416 -3.585
O -11.836 0.667 -3.617
O -12.943 -1.806 -2.034
O -12.584 -2.036 -5.136
O -22.560 2.014 -1.299
O -21.667 5.068 -0.732
O -22.748 3.170 1.713
O -12.439 -1.947 1.782
O -11.243 0.517 0.069
O -11.724 0.900 3.241
O -9.047 0.376 3.262
O -9.995 -2.581 2.806
O -9.039 -0.782 0.352
O -19.273 4.300 0.320
O -20.380 1.828 1.904
O -20.021 1.598 -1.199
O -10.573 0.865 5.527
O -11.706 -4.341 1.435
O -9.254 1.391 -1.060
O -19.629 6.120 -1.794
O -21.550 3.260 3.973
O -21.759 -0.249 -1.776
O -13.662 -2.041 -7.334
O -12.618 3.075 -3.131
O -14.998 -2.810 -0.842
O -4.623 -7.196 0.059
O -2.707 -4.494 -5.768
O -2.369 -0.841 -0.195
O -16.735 0.812 -5.959
O -16.908 1.668 -3.216
O -17.651 -1.037 -3.958
O -6.990 -3.523 -1.081
O -6.676 -4.008 -3.901
O -5.925 -1.454 -2.815
O -21.099 1.593 -3.397
O -21.015 0.647 -6.029
O -20.200 3.198 -5.493
O -9.825 -1.187 -4.592
O -10.144 -0.861 -1.831
O -10.765 -3.269 -3.093
O -3.136 -2.768 1.590
O -3.309 -1.913 4.333
O -4.052 -4.618 3.591
O -14.427 0.111 2.856
O -14.113 -0.374 0.036
O -13.362 2.179 1.122
O -7.500 -1.988 4.152
O -7.416 -2.934 1.520
O -6.601 -0.382 2.056
O -17.262 2.446 -0.655
O -17.581 2.773 2.106
O -18.202 0.365 0.844
```


Number 1: calculated total energy -3.541 eV/atom, formation enthalpy at 0 K -9.9 eV per formula unit. Number 2: calculated total energy -6.325 eV/atom, formation enthalpy at 0 K -54.1 eV per formula unit. Number 3: calculated total energy -1.897 eV/atom, formation enthalpy at 0 K 0.0 eV per formula unit. Number 4: calculated total energy -6.337 eV/atom, formation enthalpy at 0 K -53.6 eV per formula unit.